56
Lattice="-4.264 -5.151 2.077 2.583 0.541 6.644 -11.150 10.629 3.471" Properties=species:S:1:pos:R:3 comment="PBE-GGA CaSb2P2O9, optimized geometry" crystal_system=orthorhombic formation_enthalpy_0k_mev_per_atom=-2513.0 pbc="T T T"
O -6.943 0.850 5.557
Sb -0.801 0.283 4.958
O -10.448 7.163 6.369
O -8.508 4.084 5.962
O -2.382 -1.144 5.823
O -7.095 2.010 8.122
O -3.882 -2.957 6.553
P -2.516 -2.689 5.869
P -5.083 -1.771 2.878
O -5.522 1.713 2.965
O -9.264 6.771 3.677
Sb -2.132 -2.575 1.039
Sb -12.030 5.736 7.233
O -2.817 1.639 4.183
O -8.897 1.790 3.879
O -8.949 8.975 5.638
Ca -9.550 4.901 10.252
O -11.042 4.324 5.759
O -5.237 -3.302 3.166
O -11.473 9.289 5.386
O -2.732 3.857 5.455
O 0.362 -0.005 6.633
P -5.476 3.239 2.692
O -10.014 4.380 8.009
P -10.314 8.707 6.322
O -3.567 -0.752 8.515
Sb 0.000 0.000 0.000
O -7.593 9.321 9.026
O -4.322 1.935 6.230
O -8.808 2.494 9.957
Sb -5.638 5.752 8.593
O -1.357 -3.270 6.806
O -3.647 -1.380 2.391
Sb -7.193 0.267 3.599
O -7.308 4.306 9.227
O -13.193 6.023 5.559
Sb -6.415 3.009 6.096
O -2.410 -3.334 4.489
O -5.887 5.169 6.634
O -4.022 3.525 2.234
P -2.956 2.311 5.565
Sb -4.283 5.585 5.057
Ca -3.280 1.118 1.940
O -3.934 4.229 8.312
O -1.789 1.695 6.432
Ca -8.071 6.597 5.692
P -7.748 7.789 9.314
O -5.396 -0.976 4.206
P -9.875 3.708 6.627
O -9.184 7.399 9.801
O -10.421 9.352 7.703
O -5.735 4.009 4.069
Ca -4.759 -0.578 6.499
O -7.435 6.995 7.986
O -10.099 2.162 6.737
P -7.354 2.780 9.500


12
Lattice="7.283 0.000 0.000 0.000 4.781 0.000 0.000 0.411 4.794" Properties=species:S:1:pos:R:3 comment="PBE-GGA BiPO4, optimized geometry" crystal_system=monoclinic formation_enthalpy_0k_mev_per_atom=-2410.8 pbc="T T T"
O 1.821 1.564 1.694
Bi 1.821 4.210 0.656
O 4.262 3.946 0.837
P 1.821 1.900 3.202
P 5.462 3.291 1.592
O 1.821 3.440 3.322
O 6.663 3.946 0.837
O 5.462 3.627 3.100
O 0.620 1.245 3.957
O 3.022 1.245 3.957
O 5.462 1.752 1.472
Bi 5.462 0.982 4.138


16
Lattice="6.476 -0.065 0.000 -3.295 5.707 0.000 0.000 0.000 10.490" Properties=species:S:1:pos:R:3 comment="PBE-GGA CsMg14Nb, optimized geometry" crystal_system=orthorhombic formation_enthalpy_0k_mev_per_atom=276.9 pbc="T T T"
Mg 1.559 4.708 1.311
Mg 1.587 4.683 6.556
Mg -0.091 3.879 4.028
Mg 3.202 1.886 6.556
Nb -1.572 4.799 1.311
Mg 4.775 0.854 4.136
Mg -1.676 4.739 6.556
Mg 3.246 3.776 9.269
Mg -0.091 3.879 9.085
Cs -0.048 1.875 1.311
Mg -0.001 1.902 6.556
Mg 3.209 1.850 1.311
Mg 4.775 0.854 8.976
Mg 1.666 0.835 4.028
Mg 1.666 0.835 9.085
Mg 3.246 3.776 3.844


30
Lattice="2.987 -5.174 0.000 2.987 5.174 0.000 0.000 0.000 14.917" Properties=species:S:1:pos:R:3 comment="PBE-GGA Ba3CaRu2O9, optimized geometry" crystal_system=hexagonal formation_enthalpy_0k_mev_per_atom=-2477.6 pbc="T T T"
O 1.637 2.504 11.188
Ba 2.987 -1.725 8.942
O 4.396 -0.911 6.107
O 2.987 0.166 11.188
O 2.987 -3.352 6.107
O 2.987 -0.166 3.729
O 4.396 -0.911 1.352
O 1.578 0.911 8.810
Ba 2.987 1.725 1.483
Ca 0.000 0.000 0.000
Ba 2.987 1.725 5.976
Ba 2.987 -1.725 13.435
Ba 0.000 0.000 11.188
O 4.337 2.504 11.188
O 1.578 -0.911 6.107
Ba 0.000 0.000 3.729
Ru 2.987 -1.725 2.347
O 1.578 0.911 13.566
O 4.396 0.911 13.566
O 1.637 -2.504 3.729
O 2.987 3.352 13.566
O 2.987 -3.352 1.352
O 4.337 -2.504 3.729
O 1.578 -0.911 1.352
Ru 2.987 1.725 12.570
O 4.396 0.911 8.810
Ru 2.987 -1.725 5.112
O 2.987 3.352 8.810
Ru 2.987 1.725 9.806
Ca 0.000 0.000 7.459


8
Lattice="5.856 0.000 0.000 0.000 5.856 0.000 0.000 0.000 5.856" Properties=species:S:1:pos:R:3 comment="PBE-GGA N, optimized geometry" crystal_system=cubic formation_enthalpy_0k_mev_per_atom=0.0 pbc="T T T"
N 2.607 5.535 3.249
N 5.535 5.535 5.535
N 3.249 2.607 5.535
N 5.535 3.249 2.607
N 3.249 0.321 2.607
N 0.321 0.321 0.321
N 2.607 3.249 0.321
N 0.321 2.607 3.249


14
Lattice="7.514 0.000 0.000 -3.757 6.507 0.000 0.000 0.000 4.979" Properties=species:S:1:pos:R:3 comment="PBE-GGA Ca3TiN3, optimized geometry" crystal_system=hexagonal formation_enthalpy_0k_mev_per_atom=-1163.1 pbc="T T T"
Ca 4.379 4.243 1.245
N 1.864 4.725 1.245
N 1.893 1.783 3.734
Ca -0.622 2.264 3.734
N -0.597 2.531 1.245
Ca 5.243 0.594 1.245
Ti 0.000 4.338 1.245
N -1.266 5.759 1.245
N 5.024 0.748 3.734
N 4.355 3.977 3.734
Ti 3.757 2.169 3.734
Ca -1.486 5.914 3.734
Ca 2.107 4.837 3.734
Ca 1.650 1.670 1.245


24
Lattice="-6.109 -2.705 -1.326 2.941 -5.935 -1.440 1.678 -6.664 5.866" Properties=species:S:1:pos:R:3 comment="PBE-GGA BiPO4, optimized geometry" crystal_system=monoclinic formation_enthalpy_0k_mev_per_atom=-1468.7 pbc="T T T"
O 1.817 -10.461 1.715
O 1.135 -7.759 1.164
O -2.539 -8.999 1.466
O 1.854 -6.741 -1.028
O -3.705 -4.320 -1.049
O -0.867 -7.921 3.772
O -2.557 -5.304 -1.289
O -3.307 -4.843 1.385
Bi 1.367 -7.045 3.863
Bi -2.857 -8.260 -0.763
O -0.623 -7.383 -0.672
O 2.215 -10.984 4.149
Bi -0.435 -10.890 2.514
Bi -1.055 -4.414 0.586
O -2.450 -11.896 1.683
P 0.841 -7.794 -0.457
O -3.344 -8.563 4.128
P 2.985 -10.548 2.759
O -2.625 -7.545 1.936
O 1.068 -10.000 4.389
P -4.475 -4.757 0.341
P -2.331 -7.511 3.558
O 0.960 -3.408 1.417
O 1.049 -6.305 1.634


12
Lattice="2.388 2.045 10.143 -1.803 -1.737 10.320 1.599 -2.251 -10.254" Properties=species:S:1:pos:R:3 comment="PBE-GGA Sr3Ru2O7, optimized geometry" crystal_system=tetragonal formation_enthalpy_0k_mev_per_atom=-2349.7 pbc="T T T"
Ru 0.528 0.278 18.455
O 0.000 0.000 0.000
O -0.045 -1.964 2.011
Ru 0.057 0.030 2.007
Sr 0.400 0.211 13.990
O 0.134 -1.870 8.286
O 0.471 0.247 16.444
O 2.230 0.021 8.197
O 2.050 -0.073 1.923
Sr 0.185 0.097 6.472
O 0.115 0.060 4.018
Sr 0.293 0.154 10.231


44
Lattice="-9.837 1.614 10.408 2.860 -1.749 2.974 2.486 6.380 1.361" Properties=species:S:1:pos:R:3 comment="PBE-GGA CdH5N2F3, optimized geometry" crystal_system=orthorhombic formation_enthalpy_0k_mev_per_atom=-1164.1 pbc="T T T"
N -4.249 5.188 8.825
H 1.639 3.121 3.227
H -5.048 0.442 11.471
N -5.365 1.337 11.010
H -5.005 4.959 8.123
Cd -2.394 1.604 8.309
H 0.137 0.419 5.180
H 0.556 3.784 2.100
F -3.320 2.895 9.959
N -1.346 0.410 6.600
H 1.652 5.133 4.411
H -6.143 1.112 10.332
Cd 2.177 -0.094 2.915
F -3.605 2.880 6.847
F -3.854 0.002 8.771
H 0.075 4.463 4.241
Cd -2.097 4.641 6.433
F -5.137 5.885 13.465
H -0.581 1.956 5.480
N -3.145 5.835 8.143
N -0.242 1.057 5.918
N 0.874 4.908 3.733
H -2.045 0.177 5.856
H -3.529 6.731 7.760
F -0.637 6.243 5.971
H -6.130 3.124 11.516
F 2.066 1.766 4.116
H -5.046 2.461 12.643
N 1.372 3.998 2.719
H -0.962 -0.486 6.983
N -5.863 2.247 12.023
F -1.171 3.350 4.784
H 0.514 1.286 6.619
H 0.557 5.803 3.272
H -4.565 1.782 10.502
Cd -6.668 6.339 11.827
F -6.557 4.479 10.627
H -4.628 5.825 9.563
F -4.908 7.189 10.634
F 0.646 0.360 1.278
H -2.446 6.068 8.887
H -3.910 4.289 9.262
F 0.417 -0.944 4.108
F -0.886 3.365 7.895


5
Lattice="-2.498 -4.935 2.476 -5.625 -1.686 -1.496 5.159 1.633 -2.727" Properties=species:S:1:pos:R:3 comment="PBE-GGA CeAl3Cu, optimized geometry" crystal_system=tetragonal formation_enthalpy_0k_mev_per_atom=-419.7 pbc="T T T"
Al -3.181 -2.593 0.384
Cu -5.013 -4.086 0.605
Al -0.578 -3.207 0.105
Al -2.142 -1.583 -1.881
Ce -8.005 -6.525 0.966


9
Lattice="4.562 5.047 -2.724 -6.501 -1.159 -3.178 -1.734 2.908 2.485" Properties=species:S:1:pos:R:3 comment="PBE-GGA ThAlPd, optimized geometry" crystal_system=hexagonal formation_enthalpy_0k_mev_per_atom=-808.7 pbc="T T T"
Th -4.649 0.780 -0.606
Al -1.487 2.983 -4.528
Th 1.787 4.390 -0.342
Th -1.678 3.080 -1.226
Al 1.062 1.175 -0.634
Al -1.513 -0.270 -0.740
Pd -0.867 1.454 1.243
Pd 0.875 2.978 -2.875
Pd -2.813 0.909 -3.027


123
Lattice="-5.982 0.982 -7.387 -1.589 -6.794 6.564 -12.840 14.903 12.344" Properties=species:S:1:pos:R:3 comment="PBE-GGA Na7La3TaSi3P3O24, optimized geometry" crystal_system=triclinic formation_enthalpy_0k_mev_per_atom=-3019.1 pbc="T T T"
Na -8.598 -2.395 5.028
O -6.451 -1.671 6.168
P -15.269 5.242 10.743
La -1.873 2.115 1.798
O -8.883 2.256 -1.007
O -8.034 0.860 1.586
O -3.784 -1.408 -1.198
Na -4.383 -5.106 5.013
La -9.602 3.445 8.200
O -8.545 4.413 6.428
O -7.682 2.599 4.664
O -10.403 5.087 13.313
O -13.785 4.001 6.160
O -7.819 -3.336 -0.959
O -16.170 11.042 9.871
Na -5.995 -2.903 0.733
O -6.109 1.278 7.904
Si -6.471 1.790 9.426
Si -7.996 4.200 4.912
O -5.339 -3.624 7.293
O -12.337 1.691 3.246
O -11.614 5.115 4.978
O -7.335 -0.409 3.689
Na -8.847 3.451 1.451
Na -14.482 7.337 8.704
O -13.970 11.790 14.138
P -7.671 -2.183 -1.980
O -13.282 9.211 8.114
P -16.520 9.931 10.934
Ta -13.582 8.059 12.125
Na -18.714 15.812 5.035
O -14.788 7.471 13.774
O -15.169 13.192 8.504
Na -12.873 2.717 8.456
O -14.788 4.723 9.348
Na -6.058 1.610 2.844
O -13.104 6.559 6.676
Na -9.799 6.582 7.234
Na -10.575 2.420 4.505
O -11.606 4.658 7.688
O -6.019 1.644 -5.066
O -3.763 -1.863 1.561
O -16.007 8.765 15.591
La -7.275 0.682 5.950
O -8.384 -1.696 1.801
O -7.935 -0.818 -1.317
O -2.708 -3.288 4.255
O -6.329 3.235 0.501
O -4.615 -0.062 -3.542
O -4.254 3.007 5.203
O -14.093 8.240 3.674
P -10.861 6.519 13.682
O -7.955 2.437 9.456
O -8.720 8.487 5.880
Si -13.779 7.453 2.298
O -12.037 12.196 12.468
Si -10.849 0.133 6.914
O -9.818 7.294 3.944
O -13.791 10.974 5.276
O -2.377 0.214 0.413
O -15.057 12.679 3.980
Na -5.262 -1.705 3.901
O -10.858 1.696 7.362
Na -11.764 5.129 0.009
P -3.748 1.553 5.102
O -10.384 6.755 -0.817
O -10.555 8.880 8.813
Si -5.086 1.588 -3.722
Na -4.322 -0.458 7.305
O -17.334 7.542 7.738
O -14.249 6.375 11.164
O -12.055 6.924 12.701
O -9.732 5.909 1.576
O -11.092 9.072 5.188
O -9.070 5.489 9.354
Ta -10.790 5.597 3.258
Na -14.044 11.808 10.824
P -9.706 8.682 4.694
Na -15.114 10.847 7.551
O -9.137 4.577 3.768
O -12.889 9.632 13.042
Si -12.089 9.364 9.216
Na -16.018 9.669 4.058
Ta -17.090 13.034 9.284
O -5.927 1.998 -2.397
La -13.265 8.644 5.788
Na -8.737 3.943 11.437
O -2.924 1.376 3.790
Si -3.724 -0.737 0.374
O -10.808 2.990 10.293
La -10.462 6.181 -3.071
La -3.137 -4.134 1.988
O -17.604 8.989 10.420
O -16.994 10.596 12.227
O -15.149 9.159 11.274
O -12.068 10.841 9.842
O -13.464 8.516 1.075
O -9.305 -0.322 6.549
La -12.511 5.917 17.040
O -11.284 3.919 2.375
P -6.615 -2.731 7.298
Si -12.549 11.216 13.645
O -5.395 -4.193 2.793
O -15.758 8.591 6.113
O -6.773 5.251 4.697
Na -1.757 -1.178 2.775
Na -11.512 5.597 10.042
O -13.031 13.618 9.720
O -6.770 -2.037 8.666
O -5.069 0.153 0.610
O -9.784 -0.037 3.118
Si -12.551 5.062 6.409
La -6.771 1.054 -0.536
Na -13.946 1.636 5.372
P -15.508 7.373 15.174
Na -7.483 6.451 2.878
O -17.487 12.116 7.563
O -12.559 8.326 10.505
O -12.362 6.528 2.535
O -4.944 0.557 5.037
P -8.384 -0.324 2.539
La -8.412 9.703 8.062
O -6.165 -2.207 -2.500